Record 1
Here is Na2Ga4Si3Ge4S9O48 after structural relaxation from the Materials Project database. Energies are from PBE.

a = 8.4879 Å, b = 14.6542 Å, c = 22.0413 Å
α = 90.51°, β = 90.41°, γ = 90.11°
Closest atoms and distances in Å follow each position.
Fractional positions:
Na (0.0000, 0.0000, 0.0000)  6 O 2.37-2.59
Na (0.9996, 0.0042, 0.5021)  6 O 2.43-2.53
Na (0.4931, 0.5044, 0.4974)  6 O 2.33-2.57
Na (0.4954, 0.5058, 0.0031)  6 O 2.43-2.57
Na (0.5056, 0.1709, 0.8338)  6 O 2.42-2.60
Na (0.9906, 0.6716, 0.3315)  5 O 2.29-2.54
Ga (0.9999, 0.6784, 0.4846)  2 O 1.81-2.01
Ga (0.0013, 0.0123, 0.3491)  3 O 1.78-1.97
Ga (0.0065, 0.3406, 0.0268)  5 O 1.79-2.00
Ga (0.0095, 0.3431, 0.5184)  4 O 1.80-2.00
Ga (0.4868, 0.8389, 0.5256)  4 O 1.79-1.99
Ga (0.4915, 0.5130, 0.8524)  2 O 1.78-1.95
Ga (0.4940, 0.8415, 0.0232)  3 O 1.81-2.02
Ga (0.4952, 0.1776, 0.9865)  3 O 1.81-1.97
Ga (0.4986, 0.5039, 0.3522)  4 O 1.80-2.00
Ga (0.5078, 0.1720, 0.6888)  6 O 1.82-2.03
Ga (0.9753, 0.6755, 0.1866)  3 O 1.78-1.96
Ga (0.9949, 0.0041, 0.8546)  5 O 1.83-2.04
Si (0.1398, 0.8218, 0.5850)  4 O 1.60-1.68
Si (0.1426, 0.1499, 0.2503)  4 O 1.60-1.65
Si (0.2092, 0.8425, 0.9196)  4 O 1.60-1.65
Si (0.2892, 0.3437, 0.4183)  4 O 1.60-1.65
Si (0.3518, 0.6533, 0.7522)  4 O 1.59-1.66
Si (0.3557, 0.3215, 0.0846)  4 O 1.58-1.67
Si (0.6424, 0.6478, 0.2529)  4 O 1.61-1.66
Si (0.8458, 0.8215, 0.0862)  4 O 1.58-1.69
Si (0.8562, 0.1493, 0.7524)  4 O 1.60-1.67
Ge (0.0011, 0.0056, 0.6522)  4 O 1.76-1.96
Ge (0.0047, 0.6904, 0.9812)  2 O 1.74-1.75
Ge (0.0163, 0.6814, 0.6903)  3 O 1.74-1.91
Ge (0.0171, 0.3339, 0.3093)  3 O 1.75-1.92
Ge (0.4777, 0.1794, 0.1891)  3 O 1.74-1.94
Ge (0.4821, 0.8326, 0.8149)  2 O 1.74-1.77
Ge (0.4907, 0.1778, 0.4773)  2 O 1.74-1.93
Ge (0.4944, 0.5091, 0.1490)  2 O 1.75-1.77
Ge (0.4980, 0.5130, 0.6525)  2 O 1.73-1.93
Ge (0.5011, 0.8358, 0.3091)  3 O 1.73-1.93
Ge (0.9944, 0.3363, 0.8132)  4 O 1.76-1.97
Ge (0.9951, 0.0079, 0.1477)  2 O 1.75-1.76
S (0.1390, 0.4846, 0.9178)  4 O 1.46-1.53
S (0.1420, 0.5278, 0.5860)  4 O 1.46-1.53
S (0.1427, 0.1975, 0.9182)  4 O 1.46-1.52
S (0.1444, 0.8622, 0.2529)  4 O 1.46-1.50
S (0.2048, 0.5079, 0.2510)  4 O 1.47-1.50
S (0.2102, 0.1750, 0.5852)  4 O 1.46-1.52
S (0.2832, 0.6735, 0.0860)  4 O 1.45-1.52
S (0.2905, 0.0067, 0.7519)  4 O 1.46-1.50
S (0.3516, 0.3631, 0.7518)  4 O 1.47-1.51
S (0.3528, 0.6973, 0.4177)  4 O 1.46-1.51
S (0.3535, 0.0301, 0.0858)  4 O 1.44-1.50
S (0.3546, 0.9839, 0.4177)  4 O 1.47-1.49
S (0.6389, 0.9866, 0.9176)  4 O 1.45-1.51
S (0.6409, 0.0311, 0.5824)  4 O 1.46-1.52
S (0.6453, 0.3209, 0.5851)  4 O 1.46-1.52
S (0.6461, 0.6942, 0.9184)  4 O 1.45-1.50
S (0.6475, 0.3603, 0.2514)  4 O 1.46-1.49
S (0.7038, 0.0086, 0.2511)  4 O 1.47-1.50
S (0.7090, 0.3416, 0.9176)  4 O 1.46-1.52
S (0.7106, 0.6719, 0.5856)  4 O 1.46-1.54
S (0.7839, 0.1740, 0.0854)  4 O 1.46-1.50
S (0.7850, 0.8418, 0.4179)  4 O 1.47-1.51
S (0.7907, 0.5082, 0.7510)  4 O 1.46-1.53
S (0.8472, 0.8606, 0.7514)  4 O 1.46-1.51
S (0.8502, 0.1948, 0.4190)  4 O 1.47-1.50
S (0.8539, 0.5305, 0.0824)  4 O 1.46-1.50
S (0.8563, 0.4857, 0.4185)  4 O 1.47-1.51
O (0.0521, 0.7823, 0.5249)  1 Si 1.62, 1 Ga 1.81
O (0.0546, 0.2485, 0.2554)  1 Si 1.63, 1 Ge 1.75
O (0.0554, 0.9240, 0.5959)  1 Si 1.68, 1 Ge 1.78
O (0.0563, 0.1029, 0.1906)  1 Si 1.65, 1 Ge 1.75
O (0.0649, 0.5739, 0.9244)  1 S 1.46
O (0.0659, 0.4435, 0.8600)  1 S 1.53
O (0.0668, 0.8995, 0.3081)  1 S 1.49
O (0.0678, 0.4379, 0.5806)  1 S 1.46
O (0.0688, 0.2390, 0.9715)  1 S 1.46
O (0.0697, 0.1078, 0.9115)  1 S 1.46
O (0.0700, 0.5696, 0.6405)  1 S 1.48
O (0.0837, 0.7694, 0.2464)  1 S 1.46
O (0.0963, 0.9312, 0.9102)  1 Si 1.63
O (0.0989, 0.4269, 0.2574)  1 S 1.50
O (0.1057, 0.7476, 0.9238)  1 Si 1.65, 1 Ge 1.75
O (0.1092, 0.2551, 0.5779)  1 S 1.46
O (0.1098, 0.5904, 0.2425)  1 S 1.47
O (0.1123, 0.0912, 0.5897)  1 S 1.49
O (0.1121, 0.7584, 0.6438)  1 Si 1.62, 1 Ge 1.74
O (0.1150, 0.4261, 0.9707)  1 S 1.47
O (0.1224, 0.9184, 0.1984)  1 S 1.47
O (0.1229, 0.0913, 0.3106)  1 Si 1.60, 1 Ga 1.78
O (0.1234, 0.2560, 0.8620)  1 S 1.52
O (0.1252, 0.5835, 0.5307)  1 S 1.48
O (0.1619, 0.6582, 0.7440)  1 Si 1.62, 1 Ge 1.74
O (0.1706, 0.3313, 0.0776)  1 Si 1.58
O (0.1784, 0.0237, 0.0920)  1 S 1.50
O (0.1782, 0.3224, 0.3590)  1 Si 1.63, 1 Ge 1.75
O (0.1784, 0.3585, 0.7592)  1 S 1.48
O (0.1785, 0.6880, 0.4227)  1 S 1.49
O (0.1812, 0.9932, 0.4126)  1 S 1.48
O (0.1872, 0.6509, 0.0292)  1 S 1.52
O (0.1881, 0.6851, 0.1405)  1 S 1.46
O (0.1908, 0.3619, 0.4789)  1 Si 1.60
O (0.1950, 0.0243, 0.8055)  1 S 1.46
O (0.1954, 0.9865, 0.6956)  1 S 1.50
O (0.2980, 0.5236, 0.3064)  1 S 1.47
O (0.3008, 0.4860, 0.1965)  1 S 1.49
O (0.3088, 0.1549, 0.5294)  1 S 1.52
O (0.3096, 0.1903, 0.6394)  1 S 1.47
O (0.3127, 0.8229, 0.8582)  1 Si 1.64, 1 Ge 1.74
O (0.3136, 0.4910, 0.9119)  1 S 1.49
O (0.3164, 0.1882, 0.9227)  1 S 1.48
O (0.3159, 0.8603, 0.9788)  1 Si 1.60
O (0.3202, 0.5170, 0.5923)  1 S 1.53
O (0.3199, 0.8598, 0.2612)  1 S 1.50
O (0.3261, 0.8321, 0.5777)  1 Si 1.60
O (0.3318, 0.1587, 0.2433)  1 Si 1.62, 1 Ge 1.75
O (0.3723, 0.0857, 0.0302)  1 S 1.49
O (0.3734, 0.5892, 0.8093)  1 Si 1.59
O (0.3725, 0.7565, 0.3627)  1 S 1.51
O (0.3750, 0.4191, 0.6956)  1 S 1.51
O (0.3808, 0.9286, 0.4720)  1 S 1.47
O (0.3818, 0.7534, 0.0785)  1 S 1.45
O (0.3830, 0.2586, 0.1437)  1 Si 1.62, 1 Ge 1.74
O (0.3846, 0.0910, 0.7432)  1 S 1.48
O (0.3847, 0.5892, 0.0895)  1 S 1.51
O (0.3961, 0.2505, 0.4270)  1 Si 1.65, 1 Ge 1.74
O (0.3957, 0.9273, 0.7578)  1 S 1.47
O (0.4025, 0.4313, 0.4094)  1 Si 1.62
O (0.4172, 0.2711, 0.7432)  1 S 1.47
O (0.4232, 0.9405, 0.0812)  1 S 1.44
O (0.4246, 0.6075, 0.4119)  1 S 1.46
O (0.4267, 0.7379, 0.4723)  1 S 1.47
O (0.4272, 0.9447, 0.3620)  1 S 1.49
O (0.4303, 0.0714, 0.1407)  1 S 1.49
O (0.4307, 0.0753, 0.4250)  1 S 1.49
O (0.4316, 0.4002, 0.8063)  1 S 1.47
O (0.4365, 0.6104, 0.6908)  1 Si 1.66, 1 Ge 1.73
O (0.4393, 0.7516, 0.7572)  1 Si 1.62, 1 Ge 1.77
O (0.4397, 0.4233, 0.0959)  1 Si 1.67, 1 Ge 1.77
O (0.4427, 0.2830, 0.0244)  1 Si 1.62, 1 Ga 1.81
O (0.5571, 0.6045, 0.1912)  1 Si 1.66, 1 Ge 1.75
O (0.5603, 0.7500, 0.2598)  1 Si 1.66, 1 Ge 1.73
O (0.5629, 0.0791, 0.9231)  1 S 1.51
O (0.5663, 0.0696, 0.6366)  1 S 1.47
O (0.5658, 0.2819, 0.5295)  1 S 1.50
O (0.5669, 0.4139, 0.5921)  1 S 1.52
O (0.5677, 0.3959, 0.3052)  1 S 1.46
O (0.5689, 0.9459, 0.8603)  1 S 1.51
O (0.5705, 0.7331, 0.9715)  1 S 1.45
O (0.5741, 0.6011, 0.9114)  1 S 1.50
O (0.5745, 0.9402, 0.5738)  1 S 1.46
O (0.5833, 0.2667, 0.2425)  1 S 1.49
O (0.5997, 0.9270, 0.2594)  1 S 1.50
O (0.6077, 0.5860, 0.5909)  1 S 1.54
O (0.6095, 0.0912, 0.2414)  1 S 1.47
O (0.6085, 0.4239, 0.9098)  1 S 1.49
O (0.6122, 0.2579, 0.9205)  1 S 1.48
O (0.6124, 0.5881, 0.3126)  1 Si 1.61
O (0.6127, 0.7528, 0.5781)  1 S 1.46
O (0.6158, 0.9322, 0.9717)  1 S 1.45
O (0.6177, 0.0909, 0.5270)  1 S 1.52
O (0.6188, 0.2656, 0.6391)  1 S 1.46
O (0.6251, 0.4172, 0.1965)  1 S 1.49
O (0.6268, 0.7505, 0.8623)  1 S 1.50
O (0.6636, 0.8333, 0.0728)  1 Si 1.58
O (0.6678, 0.1636, 0.7439)  1 Si 1.62
O (0.6761, 0.1839, 0.4270)  1 S 1.50
O (0.6755, 0.8553, 0.7598)  1 S 1.47
O (0.6789, 0.5236, 0.0888)  1 S 1.50
O (0.6849, 0.4966, 0.4137)  1 S 1.47
O (0.6859, 0.8270, 0.3618)  1 S 1.51
O (0.6883, 0.1873, 0.1405)  1 S 1.48
O (0.6901, 0.8569, 0.4728)  1 S 1.47
O (0.6918, 0.1524, 0.0292)  1 S 1.49
O (0.6916, 0.4841, 0.6949)  1 S 1.53
O (0.6947, 0.5236, 0.8051)  1 S 1.46
O (0.7971, 0.0239, 0.3071)  1 S 1.48
O (0.8008, 0.9856, 0.1973)  1 S 1.48
O (0.8018, 0.6507, 0.5302)  1 S 1.48
O (0.8065, 0.3262, 0.8610)  1 S 1.52
O (0.8058, 0.3569, 0.9720)  1 S 1.46
O (0.8060, 0.6851, 0.6411)  1 S 1.47
O (0.8107, 0.9975, 0.9122)  1 S 1.47
O (0.8146, 0.0249, 0.5885)  1 S 1.48
O (0.8149, 0.3310, 0.5758)  1 S 1.46
O (0.8189, 0.6821, 0.9249)  1 S 1.48
O (0.8212, 0.3555, 0.2611)  1 S 1.49
O (0.8306, 0.6588, 0.2478)  1 Si 1.61
O (0.8683, 0.2510, 0.3645)  1 S 1.47
O (0.8699, 0.9171, 0.6955)  1 S 1.51
O (0.8775, 0.5880, 0.0273)  1 S 1.50
O (0.8774, 0.7618, 0.1444)  1 Si 1.58
O (0.8777, 0.4305, 0.4741)  1 S 1.49
O (0.8796, 0.2562, 0.0776)  1 S 1.46
O (0.8810, 0.7575, 0.4211)  1 S 1.48
O (0.8825, 0.0872, 0.8109)  1 Si 1.60
O (0.8833, 0.5910, 0.7398)  1 S 1.47
O (0.8868, 0.0914, 0.0907)  1 S 1.50
O (0.8871, 0.9237, 0.4108)  1 S 1.49
O (0.8932, 0.4270, 0.7582)  1 S 1.49
O (0.9130, 0.7672, 0.7421)  1 S 1.49
O (0.9174, 0.4385, 0.0741)  1 S 1.46
O (0.9210, 0.1023, 0.4130)  1 S 1.49
O (0.9221, 0.2343, 0.4747)  1 S 1.48
O (0.9264, 0.4453, 0.3631)  1 S 1.48
O (0.9290, 0.5657, 0.1379)  1 S 1.46
O (0.9304, 0.8968, 0.8044)  1 S 1.46
O (0.9334, 0.5781, 0.4256)  1 S 1.51
O (0.9360, 0.2522, 0.7604)  1 Si 1.66, 1 Ge 1.76
O (0.9360, 0.9236, 0.0947)  1 Si 1.69, 1 Ge 1.76
O (0.9369, 0.7811, 0.0256)  1 Si 1.65, 1 Ge 1.74
O (0.9380, 0.1052, 0.6900)  1 Si 1.67, 1 Ge 1.76

Electronic total energy   -6.2017 eV per atom
M_tot   0.00 Bohr magnetons per cell

---

Record 2
Here is Na3GaSi3Ge3S3O24 after structural relaxation from the Materials Project database. Energies are from PBE.

a = 8.5457 Å, b = 8.5743 Å, c = 22.0382 Å
α = 90.18°, β = 90.35°, γ = 119.64°
Closest atoms and distances in Å follow each position.
Fractional positions:
Na (0.0000, 0.0000, 0.0000)  6 O 2.37-2.65
Na (0.0006, 0.0092, 0.5022)  6 O 2.44-2.58
Na (0.3140, 0.6702, 0.3346)  6 O 2.36-2.58
Na (0.3236, 0.6783, 0.8334)  6 O 2.43-2.54
Na (0.6486, 0.9722, 0.9136)  5 O 2.29-2.56
Na (0.6509, 0.3402, 0.6647)  6 O 2.42-2.57
Na (0.6559, 0.7062, 0.4204)  5 O 2.32-2.55
Na (0.6581, 0.3440, 0.1672)  6 O 2.38-2.59
Na (0.9799, 0.6360, 0.2496)  7 O 2.37-2.64
Ga (0.3134, 0.6933, 0.4860)  4 O 1.81-2.02
Ga (0.3198, 0.6894, 0.9772)  5 O 1.84-2.04
Ga (0.6760, 0.3566, 0.3104)  4 O 1.84-2.02
Si (0.0326, 0.6774, 0.0829)  4 O 1.59-1.67
Si (0.3235, 0.9783, 0.5835)  4 O 1.59-1.65
Si (0.3656, 0.0640, 0.9171)  4 O 1.61-1.65
Si (0.6084, 0.6793, 0.5807)  4 O 1.62-1.65
Si (0.6515, 0.6256, 0.9142)  4 O 1.62-1.66
Si (0.6878, 0.7193, 0.2488)  4 O 1.61-1.65
Si (0.7091, 0.0194, 0.7503)  4 O 1.63-1.67
Si (0.9547, 0.6352, 0.4161)  4 O 1.61-1.71
Si (0.9869, 0.2839, 0.2488)  4 O 1.62-1.67
Ge (0.3070, 0.6508, 0.1876)  4 O 1.80-1.91
Ge (0.3603, 0.7112, 0.6825)  3 O 1.75-1.82
Ge (0.6385, 0.3282, 0.8142)  3 O 1.77-1.85
Ge (0.6530, 0.3588, 0.5231)  4 O 1.79-1.99
Ge (0.6584, 0.3646, 0.0180)  3 O 1.76-1.85
Ge (0.9719, 0.9899, 0.1486)  3 O 1.77-1.82
Ge (0.9755, 0.0058, 0.6422)  4 O 1.80-1.98
Ge (0.9766, 0.0026, 0.3505)  4 O 1.79-2.01
Ge (0.9832, 0.9911, 0.8541)  4 O 1.81-1.93
S (0.0370, 0.3927, 0.5845)  4 O 1.47-1.49
S (0.2733, 0.3005, 0.7493)  4 O 1.47-1.52
S (0.2794, 0.0143, 0.2495)  4 O 1.45-1.51
S (0.3202, 0.3847, 0.0820)  4 O 1.46-1.51
S (0.3615, 0.3362, 0.4149)  4 O 1.47-1.51
S (0.6123, 0.9695, 0.0832)  4 O 1.47-1.51
S (0.6578, 0.0633, 0.4155)  4 O 1.47-1.52
S (0.9446, 0.3470, 0.9156)  4 O 1.46-1.50
S (0.9899, 0.7180, 0.7484)  4 O 1.47-1.51
O (0.0162, 0.8630, 0.0914)  1 Si 1.67, 1 Ge 1.82
O (0.0191, 0.2112, 0.5906)  1 S 1.49
O (0.0307, 0.8328, 0.8050)  1 S 1.51
O (0.0322, 0.2040, 0.3099)  1 Si 1.64, 1 Ge 1.79
O (0.1152, 0.5045, 0.6400)  1 S 1.49
O (0.1215, 0.6455, 0.1463)  1 Si 1.67, 1 Ge 1.80
O (0.1236, 0.5037, 0.9217)  1 S 1.46
O (0.1430, 0.4637, 0.5292)  1 S 1.47
O (0.1495, 0.0056, 0.5965)  1 Si 1.64, 1 Ge 1.80
O (0.1501, 0.6517, 0.4227)  1 Si 1.61
O (0.1506, 0.6951, 0.7429)  1 S 1.49
O (0.1550, 0.7112, 0.0247)  1 Si 1.59
O (0.1599, 0.2068, 0.0886)  1 S 1.47
O (0.1598, 0.9697, 0.3041)  1 S 1.51
O (0.1617, 0.4911, 0.2442)  1 Si 1.67, 1 Ge 1.82
O (0.1670, 0.2181, 0.8050)  1 S 1.49
O (0.1702, 0.0524, 0.9063)  1 Si 1.64, 1 Ge 1.82
O (0.1812, 0.1733, 0.4106)  1 S 1.48
O (0.1970, 0.1884, 0.6944)  1 S 1.47
O (0.2019, 0.0469, 0.1937)  1 S 1.48
O (0.2679, 0.8531, 0.5246)  1 Si 1.59
O (0.2877, 0.4799, 0.7447)  1 S 1.49
O (0.2936, 0.8485, 0.2434)  1 S 1.49
O (0.2956, 0.4686, 0.0279)  1 S 1.46
O (0.3461, 0.8672, 0.9212)  1 Si 1.61
O (0.3473, 0.4999, 0.4206)  1 S 1.47
O (0.3587, 0.4985, 0.1386)  1 S 1.51
O (0.3637, 0.8926, 0.6446)  1 Si 1.65, 1 Ge 1.76
O (0.4398, 0.3039, 0.4717)  1 S 1.51
O (0.4557, 0.1720, 0.2580)  1 S 1.45
O (0.4596, 0.3207, 0.7537)  1 S 1.52
O (0.4624, 0.1886, 0.9779)  1 Si 1.65, 1 Ge 1.83
O (0.4755, 0.3649, 0.3612)  1 S 1.48
O (0.4775, 0.6514, 0.9227)  1 Si 1.62
O (0.4831, 0.6323, 0.6417)  1 Si 1.65, 1 Ge 1.75
O (0.4861, 0.3667, 0.0796)  1 S 1.50
O (0.4978, 0.1381, 0.8579)  1 Si 1.64, 1 Ge 1.77
O (0.4977, 0.7160, 0.2374)  1 Si 1.63, 1 Ge 1.80
O (0.5005, 0.8840, 0.1368)  1 S 1.47
O (0.5045, 0.8781, 0.4187)  1 S 1.48
O (0.5077, 0.8349, 0.7458)  1 Si 1.67, 1 Ge 1.82
O (0.5100, 0.1699, 0.5730)  1 Si 1.65
O (0.5236, 0.7076, 0.5185)  1 Si 1.62
O (0.5422, 0.8636, 0.0263)  1 S 1.48
O (0.6252, 0.5051, 0.8532)  1 Si 1.64, 1 Ge 1.79
O (0.6276, 0.1406, 0.3602)  1 S 1.47
O (0.6308, 0.1505, 0.0783)  1 S 1.48
O (0.6365, 0.5048, 0.5779)  1 Si 1.63, 1 Ge 1.79
O (0.6652, 0.5216, 0.2546)  1 Si 1.61
O (0.6851, 0.1700, 0.4713)  1 S 1.48
O (0.6882, 0.2014, 0.7569)  1 Si 1.66, 1 Ge 1.85
O (0.7044, 0.5554, 0.9753)  1 Si 1.63, 1 Ge 1.76
O (0.7716, 0.8397, 0.3113)  1 Si 1.65, 1 Ge 1.82
O (0.7970, 0.9839, 0.8121)  1 Si 1.65, 1 Ge 1.81
O (0.7974, 0.9888, 0.0884)  1 S 1.51
O (0.8045, 0.8596, 0.5892)  1 Si 1.63, 1 Ge 1.80
O (0.8098, 0.5433, 0.4734)  1 Si 1.68, 1 Ge 1.85
O (0.8108, 0.3076, 0.2520)  1 Si 1.62
O (0.8258, 0.5422, 0.7552)  1 S 1.47
O (0.8278, 0.0478, 0.4125)  1 S 1.52
O (0.8285, 0.3062, 0.9705)  1 S 1.50
O (0.8292, 0.8305, 0.9087)  1 Si 1.66, 1 Ge 1.82
O (0.8304, 0.4922, 0.0772)  1 Si 1.67, 1 Ge 1.85
O (0.8301, 0.8000, 0.1927)  1 Si 1.64, 1 Ge 1.77
O (0.8353, 0.0517, 0.6914)  1 Si 1.63, 1 Ge 1.80
O (0.8528, 0.3694, 0.5781)  1 S 1.49
O (0.8656, 0.3787, 0.8600)  1 S 1.49
O (0.8714, 0.5271, 0.3534)  1 Si 1.61
O (0.9590, 0.1810, 0.9100)  1 S 1.49
O (0.9590, 0.8021, 0.6947)  1 S 1.48
O (0.9644, 0.1686, 0.1869)  1 Si 1.63, 1 Ge 1.78
O (0.9651, 0.8386, 0.4091)  1 Si 1.71, 1 Ge 1.88

Electronic total energy   -6.3467 eV per atom
M_tot   0.00 Bohr magnetons per cell